1.
{"formula": "AlF3", "functional": "GGA-PBE", "state": "optimized geometry", "crystal_system": "triclinic", "mass_density_g_cm3": 2.77, "m_tot_mub_per_fu": 0.0, "ef_ev_per_atom": -3.83, "lattice_angstrom": [[3.628, 0.000, 0.000], [0.224, 5.188, 0.000], [0.175, 2.403, 5.339]], "species": ["Al", "Al", "F", "F", "F", "F", "F", "F"], "frac_coords": [[0.000, 0.360, 0.266], [0.000, 0.640, 0.734], [0.000, 0.000, 0.500], [0.000, 0.500, 0.500], [0.500, 0.645, 0.729], [0.500, 0.355, 0.271], [0.981, 0.721, 0.010], [0.019, 0.279, 0.990]]}

---

2.
{"formula": "AlF3", "functional": "GGA-PBE", "state": "optimized geometry", "crystal_system": "tetragonal", "mass_density_g_cm3": 2.88, "m_tot_mub_per_fu": 0.0, "ef_ev_per_atom": -3.85, "lattice_angstrom": [[-4.446, 7.507, -5.524], [-8.639, -5.616, -0.678], [-2.464, 3.051, 6.128]], "species": ["Al", "Al", "Al", "Al", "Al", "Al", "Al", "Al", "Al", "Al", "Al", "Al", "Al", "Al", "Al", "Al", "F", "F", "F", "F", "F", "F", "F", "F", "F", "F", "F", "F", "F", "F", "F", "F", "F", "F", "F", "F", "F", "F", "F", "F", "F", "F", "F", "F", "F", "F", "F", "F", "F", "F", "F", "F", "F", "F", "F", "F", "F", "F", "F", "F", "F", "F", "F", "F"], "frac_coords": [[0.500, 0.336, 0.672], [0.500, 0.664, 0.672], [0.164, 0.000, 0.672], [0.836, 0.000, 0.672], [0.336, 0.500, 0.328], [0.000, 0.164, 0.328], [0.000, 0.836, 0.328], [0.664, 0.500, 0.328], [0.500, 0.000, 0.588], [0.000, 0.500, 0.412], [0.500, 0.000, 0.091], [0.000, 0.500, 0.909], [0.250, 0.750, 0.000], [0.250, 0.250, 0.000], [0.750, 0.750, 0.000], [0.750, 0.250, 0.000], [0.500, 0.500, 0.755], [0.000, 0.000, 0.755], [0.000, 0.000, 0.245], [0.500, 0.500, 0.245], [0.123, 0.877, 0.500], [0.377, 0.377, 0.500], [0.623, 0.623, 0.500], [0.877, 0.123, 0.500], [0.377, 0.623, 0.500], [0.123, 0.123, 0.500], [0.877, 0.877, 0.500], [0.623, 0.377, 0.500], [0.500, 0.174, 0.589], [0.500, 0.826, 0.589], [0.326, 0.000, 0.589], [0.174, 0.500, 0.411], [0.674, 0.000, 0.589], [0.871, 0.629, 0.909], [0.129, 0.371, 0.909], [0.129, 0.629, 0.909], [0.629, 0.871, 0.091], [0.371, 0.129, 0.091], [0.371, 0.871, 0.091], [0.629, 0.129, 0.091], [0.698, 0.372, 0.163], [0.872, 0.802, 0.163], [0.128, 0.198, 0.163], [0.302, 0.628, 0.163], [0.802, 0.872, 0.837], [0.198, 0.128, 0.837], [0.372, 0.698, 0.837], [0.628, 0.302, 0.837], [0.802, 0.128, 0.837], [0.628, 0.698, 0.837], [0.372, 0.302, 0.837], [0.198, 0.872, 0.837], [0.698, 0.628, 0.163], [0.302, 0.372, 0.163], [0.128, 0.802, 0.163], [0.872, 0.198, 0.163], [0.000, 0.500, 0.159], [0.500, 0.000, 0.841], [0.000, 0.500, 0.662], [0.500, 0.000, 0.338], [0.826, 0.500, 0.411], [0.000, 0.674, 0.411], [0.000, 0.326, 0.411], [0.871, 0.371, 0.909]]}

---

3.
{"formula": "AlF3", "functional": "GGA-PBE", "state": "optimized geometry", "crystal_system": "trigonal", "mass_density_g_cm3": 2.90, "m_tot_mub_per_fu": 0.0, "ef_ev_per_atom": -3.87, "lattice_angstrom": [[2.560, -4.434, 0.000], [2.560, 4.434, 0.000], [0.000, 0.000, 6.350]], "species": ["Al", "Al", "Al", "F", "F", "F", "F", "F", "F", "F", "F", "F"], "frac_coords": [[0.000, 0.000, 0.000], [0.667, 0.333, 0.333], [0.333, 0.667, 0.667], [0.000, 0.476, 0.500], [0.476, 0.000, 0.500], [0.524, 0.524, 0.500], [0.175, 0.333, 0.833], [0.159, 0.825, 0.833], [0.667, 0.841, 0.833], [0.825, 0.159, 0.167], [0.333, 0.175, 0.167], [0.841, 0.667, 0.167]]}

---

4.
{"formula": "AlF3", "functional": "GGA-PBE", "state": "optimized geometry", "crystal_system": "trigonal", "mass_density_g_cm3": 3.02, "ef_ev_per_atom": -3.87, "lattice_angstrom": [[-2.294, 3.731, 2.636], [0.362, 0.231, 5.094], [2.728, 3.672, 2.282]], "species": ["Al", "Al", "F", "F", "F", "F", "F", "F"], "frac_coords": [[0.000, 0.000, 0.000], [0.500, 0.500, 0.500], [0.750, 0.186, 0.314], [0.314, 0.750, 0.186], [0.814, 0.686, 0.250], [0.686, 0.250, 0.814], [0.250, 0.814, 0.686], [0.186, 0.314, 0.750]]}

---

5.
{"formula": "AlF3", "functional": "GGA-PBE", "state": "optimized geometry", "crystal_system": "cubic", "mass_density_g_cm3": 2.89, "ef_ev_per_atom": -3.87, "lattice_angstrom": [[3.640, 0.000, 0.000], [0.000, 3.640, 0.000], [0.000, 0.000, 3.640]], "species": ["Al", "F", "F", "F"], "frac_coords": [[0.000, 0.000, 0.000], [0.000, 0.000, 0.500], [0.000, 0.500, 0.000], [0.500, 0.000, 0.000]]}

---

- What is the formula in the second record?
  AlF3

---

- What is the formula in the fourth record?
  AlF3

---

Repeat the fifth record exactly.
{"formula": "AlF3", "functional": "GGA-PBE", "state": "optimized geometry", "crystal_system": "cubic", "mass_density_g_cm3": 2.89, "ef_ev_per_atom": -3.87, "lattice_angstrom": [[3.640, 0.000, 0.000], [0.000, 3.640, 0.000], [0.000, 0.000, 3.640]], "species": ["Al", "F", "F", "F"], "frac_coords": [[0.000, 0.000, 0.000], [0.000, 0.000, 0.500], [0.000, 0.500, 0.000], [0.500, 0.000, 0.000]]}